The following is a PBE with a Hubbard U calculation of a geometry-optimized CsRbMo3P3O17 structure, from Materials Project.

Computed properties:
Total moment in μB per cell: 4.0
Calculated formation energy in eV/atom: -2.39
Total energy in eV/atom: -6.931

abc: 10.999 9.712 16.021
angles: 90.00 111.44 90.00
Fractional coordinates of all 100 atoms:
Cs1 0.180 0.117 0.010
Cs2 0.180 0.383 0.510
Cs3 0.820 0.617 0.490
Cs4 0.820 0.883 0.990
Rb1 0.388 0.129 0.790
Rb2 0.388 0.371 0.290
Rb3 0.612 0.629 0.710
Rb4 0.612 0.871 0.210
Mo1 0.047 0.121 0.245
Mo2 0.047 0.379 0.745
Mo3 0.246 0.623 0.061
Mo4 0.246 0.877 0.561
Mo5 0.423 0.741 0.900
Mo6 0.423 0.759 0.400
Mo7 0.577 0.241 0.600
Mo8 0.577 0.259 0.100
Mo9 0.754 0.123 0.439
Mo10 0.754 0.377 0.939
Mo11 0.953 0.621 0.255
Mo12 0.953 0.879 0.755
P1 0.044 0.097 0.622
P2 0.044 0.403 0.122
P3 0.162 0.673 0.701
P4 0.162 0.827 0.201
P5 0.332 0.096 0.432
P6 0.332 0.404 0.932
P7 0.668 0.596 0.068
P8 0.668 0.904 0.568
P9 0.838 0.173 0.799
P10 0.838 0.327 0.299
P11 0.956 0.597 0.878
P12 0.956 0.903 0.378
O1 0.028 0.734 0.692
O2 0.028 0.766 0.192
O3 0.038 0.637 0.974
O4 0.038 0.863 0.474
O5 0.043 0.524 0.835
O6 0.043 0.976 0.335
O7 0.097 0.577 0.339
O8 0.097 0.923 0.839
O9 0.107 0.229 0.678
O10 0.107 0.271 0.178
O11 0.158 0.514 0.701
O12 0.158 0.986 0.201
O13 0.164 0.006 0.630
O14 0.164 0.494 0.130
O15 0.190 0.709 0.615
O16 0.190 0.791 0.115
O17 0.232 0.172 0.352
O18 0.232 0.328 0.852
O19 0.268 0.056 0.501
O20 0.268 0.444 0.001
O21 0.269 0.734 0.784
O22 0.269 0.766 0.284
O23 0.286 0.716 0.979
O24 0.286 0.784 0.479
O25 0.392 0.528 0.902
O26 0.392 0.972 0.402
O27 0.395 0.617 0.149
O28 0.395 0.883 0.649
O29 0.405 0.585 0.420
O30 0.405 0.915 0.920
O31 0.440 0.207 0.476
O32 0.440 0.293 0.976
O33 0.460 0.243 0.649
O34 0.460 0.257 0.149
O35 0.540 0.743 0.851
O36 0.540 0.757 0.351
O37 0.560 0.707 0.024
O38 0.560 0.793 0.524
O39 0.595 0.085 0.080
O40 0.595 0.415 0.580
O41 0.605 0.117 0.351
O42 0.605 0.383 0.851
O43 0.608 0.028 0.598
O44 0.608 0.472 0.098
O45 0.714 0.216 0.521
O46 0.714 0.284 0.021
O47 0.731 0.234 0.716
O48 0.731 0.266 0.216
O49 0.732 0.556 0.999
O50 0.732 0.944 0.499
O51 0.768 0.672 0.148
O52 0.768 0.828 0.648
O53 0.810 0.209 0.885
O54 0.810 0.291 0.385
O55 0.836 0.506 0.870
O56 0.836 0.994 0.370
O57 0.842 0.014 0.799
O58 0.842 0.486 0.299
O59 0.893 0.729 0.822
O60 0.893 0.771 0.322
O61 0.903 0.077 0.161
O62 0.903 0.423 0.661
O63 0.957 0.024 0.665
O64 0.957 0.476 0.165
O65 0.962 0.137 0.526
O66 0.962 0.363 0.026
O67 0.972 0.234 0.808
O68 0.972 0.266 0.308